A relaxed Li5Co3O8 crystal. Source: Materials Project, functional GGA+U.

a b c (Å): 9.655 9.655 5.057
angles (deg): 85.51 85.51 17.18
Positions (direct):
Li  0.878  0.878  0.382
Co  0.750  0.750  0.750
Li  0.378  0.378  0.876
Li  0.500  0.500  0.500
O  0.055  0.055  0.273
O  0.445  0.445  0.166
Li  0.622  0.622  0.124
O  0.192  0.192  0.926
O  0.310  0.310  0.570
O  0.690  0.690  0.430
Li  0.122  0.122  0.618
O  0.808  0.808  0.074
O  0.555  0.555  0.834
Co  0.000  0.000  0.000
Co  0.250  0.250  0.250
O  0.945  0.945  0.727

Values from the calculation:
Spin magnetization: 0.0 μB per cell
Energy relative to the elements: -1.65 eV per atom
Excess energy over the best structure of this formula in the dataset: 79 meV/atom

=====

A relaxed Ba2Fe2O5 crystal. Source: Materials Project, functional GGA+U.

a b c (Å): 11.668 7.188 23.636
angles (deg): 83.18 90.00 90.00
Positions (direct):
O  0.504  0.778  0.641
Fe  0.863  0.273  0.536
O  0.237  0.305  0.354
Fe  0.879  0.186  0.965
Fe  0.621  0.377  0.328
O  0.749  0.621  0.078
O  0.476  0.072  0.795
Ba  0.115  0.037  0.896
Fe  0.902  0.700  0.246
O  0.002  0.791  0.421
O  0.128  0.969  0.107
O  0.243  0.151  0.575
O  0.498  0.291  0.921
O  0.976  0.428  0.705
Ba  0.865  0.815  0.537
Fe  0.131  0.961  0.600
Ba  0.385  0.537  0.396
O  0.285  0.004  0.989
Ba  0.360  0.972  0.106
O  0.368  0.732  0.746
O  0.254  0.295  0.145
O  0.128  0.682  0.965
O  0.500  0.500  0.500
Fe  0.598  0.200  0.746
Ba  0.860  0.528  0.394
Ba  0.617  0.178  0.466
O  0.994  0.164  0.353
O  0.004  0.639  0.071
Fe  0.615  0.963  0.603
O  0.764  0.654  0.286
Fe  0.402  0.800  0.254
O  0.257  0.651  0.075
O  0.746  0.705  0.855
Fe  0.385  0.037  0.397
Ba  0.866  0.112  0.683
O  0.976  0.930  0.222
O  0.496  0.222  0.359
Ba  0.876  0.396  0.829
Fe  0.898  0.663  0.685
O  0.715  0.996  0.011
O  0.743  0.349  0.925
Fe  0.379  0.314  0.535
Fe  0.121  0.814  0.035
Ba  0.134  0.888  0.317
Fe  0.398  0.837  0.815
O  0.524  0.928  0.205
Fe  0.885  0.463  0.103
Ba  0.368  0.263  0.256
O  0.000  0.000  0.000
O  0.372  0.182  0.465
Fe  0.879  0.877  0.828
O  0.524  0.430  0.722
Ba  0.885  0.963  0.104
Ba  0.615  0.463  0.604
O  0.494  0.336  0.147
O  0.872  0.031  0.893
O  0.754  0.205  0.355
Ba  0.376  0.104  0.671
O  0.251  0.379  0.922
O  0.890  0.169  0.466
Ba  0.117  0.322  0.034
Fe  0.637  0.773  0.036
Ba  0.883  0.678  0.966
Ba  0.868  0.237  0.244
O  0.376  0.918  0.320
Fe  0.869  0.039  0.400
O  0.506  0.664  0.853
Ba  0.634  0.612  0.183
O  0.006  0.836  0.647
Fe  0.621  0.686  0.465
Ba  0.135  0.185  0.463
Fe  0.098  0.300  0.754
O  0.624  0.082  0.680
O  0.628  0.818  0.535
Ba  0.635  0.315  0.037
O  0.024  0.070  0.778
O  0.246  0.795  0.645
Ba  0.140  0.472  0.606
Ba  0.365  0.685  0.963
Fe  0.121  0.123  0.172
Ba  0.640  0.028  0.894
O  0.785  0.496  0.511
Fe  0.631  0.539  0.900
O  0.610  0.669  0.966
Ba  0.632  0.737  0.744
O  0.736  0.154  0.786
O  0.757  0.849  0.425
Fe  0.137  0.727  0.464
O  0.263  0.805  0.854
Ba  0.132  0.763  0.756
O  0.236  0.346  0.714
O  0.737  0.195  0.146
O  0.372  0.469  0.607
O  0.504  0.861  0.429
Fe  0.102  0.337  0.315
O  0.868  0.768  0.754
O  0.249  0.879  0.422
O  0.996  0.278  0.141
Ba  0.624  0.896  0.329
O  0.496  0.139  0.571
Fe  0.379  0.623  0.672
O  0.876  0.582  0.180
O  0.872  0.318  0.035
O  0.215  0.504  0.489
O  0.628  0.531  0.393
O  0.502  0.709  0.079
O  0.124  0.418  0.820
Fe  0.602  0.163  0.185
Fe  0.369  0.461  0.100
Fe  0.115  0.537  0.897
O  0.024  0.572  0.295
O  0.632  0.268  0.254
O  0.004  0.722  0.859
O  0.132  0.232  0.246
O  0.110  0.831  0.534
Ba  0.124  0.604  0.171
O  0.996  0.361  0.929
Fe  0.363  0.227  0.964
O  0.998  0.209  0.579
O  0.390  0.331  0.034
Ba  0.383  0.822  0.534
O  0.751  0.121  0.578
O  0.264  0.846  0.214
O  0.476  0.570  0.278
O  0.763  0.695  0.646
Ba  0.366  0.388  0.817

Values from the calculation:
Spin magnetization: 140.0 μB per cell
Energy relative to the elements: -2.27 eV per atom

=====

A relaxed Cu3Mo8Br2O23 crystal. Source: Materials Project, functional GGA+U.

a b c (Å): 3.994 24.098 22.138
angles (deg): 90.00 90.00 90.00
Positions (direct):
Cu  0.500  0.000  0.500
Mo  0.067  0.250  0.000
Mo  0.075  0.714  0.339
O  0.496  0.675  0.750
O  0.486  0.218  0.336
Mo  0.081  0.415  0.750
O  0.985  0.977  0.809
Br  0.519  0.575  0.063
O  0.997  0.325  0.039
Mo  0.925  0.286  0.839
Br  0.481  0.425  0.563
Mo  0.087  0.540  0.750
O  0.997  0.175  0.961
Cu  0.970  0.020  0.404
Mo  0.070  0.629  0.895
O  0.998  0.259  0.750
Br  0.481  0.075  0.437
O  0.985  0.441  0.080
O  0.514  0.782  0.664
O  0.015  0.023  0.191
O  0.998  0.201  0.664
O  0.002  0.701  0.836
O  0.491  0.750  0.000
O  0.998  0.241  0.250
O  0.002  0.799  0.164
O  0.015  0.559  0.580
O  0.496  0.825  0.250
O  0.509  0.250  0.000
Cu  0.970  0.480  0.596
O  0.005  0.787  0.580
O  0.513  0.867  0.389
Mo  0.070  0.629  0.605
Mo  0.066  0.175  0.750
O  0.479  0.911  0.750
O  0.998  0.299  0.336
O  0.995  0.143  0.315
O  0.998  0.107  0.695
Cu  0.030  0.520  0.404
O  0.015  0.477  0.691
Cu  0.970  0.020  0.096
O  0.514  0.718  0.336
O  0.002  0.893  0.305
Cu  0.500  0.500  0.500
O  0.005  0.713  0.080
O  0.487  0.367  0.389
Mo  0.081  0.085  0.250
O  0.995  0.287  0.580
Mo  0.934  0.675  0.750
O  0.985  0.059  0.580
O  0.985  0.523  0.191
Mo  0.933  0.750  0.500
Mo  0.067  0.250  0.500
O  0.005  0.857  0.815
O  0.486  0.282  0.836
O  0.487  0.133  0.889
O  0.015  0.023  0.309
O  0.985  0.441  0.420
O  0.003  0.825  0.039
O  0.487  0.367  0.111
O  0.513  0.633  0.611
O  0.514  0.782  0.836
Mo  0.930  0.371  0.395
Mo  0.934  0.825  0.250
O  0.998  0.107  0.805
Mo  0.075  0.786  0.661
O  0.995  0.357  0.815
O  0.521  0.089  0.250
Br  0.519  0.575  0.437
O  0.504  0.175  0.750
Mo  0.925  0.286  0.661
O  0.002  0.701  0.664
O  0.997  0.175  0.539
O  0.002  0.893  0.195
O  0.998  0.393  0.195
O  0.995  0.213  0.080
O  0.003  0.675  0.539
O  0.995  0.357  0.685
O  0.015  0.559  0.920
Cu  0.500  0.500  0.000
Br  0.481  0.075  0.063
O  0.527  0.542  0.750
O  0.487  0.133  0.611
O  0.491  0.750  0.500
Mo  0.070  0.871  0.105
Mo  0.913  0.040  0.750
O  0.015  0.941  0.080
O  0.995  0.213  0.420
O  0.998  0.299  0.164
O  0.002  0.741  0.250
O  0.473  0.042  0.750
Mo  0.087  0.960  0.250
Cu  0.500  0.000  0.000
Mo  0.930  0.371  0.105
Cu  0.030  0.520  0.096
O  0.997  0.325  0.461
O  0.513  0.867  0.111
O  0.015  0.941  0.420
O  0.985  0.523  0.309
Mo  0.925  0.214  0.161
O  0.995  0.143  0.185
Cu  0.030  0.980  0.904
O  0.005  0.857  0.685
O  0.002  0.799  0.336
O  0.985  0.059  0.920
O  0.985  0.977  0.691
Mo  0.066  0.325  0.250
O  0.003  0.825  0.461
O  0.998  0.201  0.836
Mo  0.070  0.871  0.395
O  0.504  0.325  0.250
O  0.015  0.477  0.809
O  0.003  0.675  0.961
Br  0.481  0.425  0.937
O  0.514  0.718  0.164
O  0.486  0.218  0.164
Cu  0.030  0.980  0.596
Mo  0.075  0.786  0.839
O  0.995  0.287  0.920
O  0.002  0.759  0.750
O  0.527  0.958  0.250
O  0.005  0.787  0.920
Mo  0.930  0.129  0.605
O  0.998  0.393  0.305
O  0.002  0.607  0.695
Mo  0.919  0.915  0.750
Br  0.519  0.925  0.563
O  0.513  0.633  0.889
Mo  0.075  0.714  0.161
Cu  0.970  0.480  0.904
Mo  0.930  0.129  0.895
Mo  0.925  0.214  0.339
O  0.002  0.607  0.805
Mo  0.919  0.585  0.250
O  0.005  0.643  0.185
O  0.005  0.643  0.315
Mo  0.913  0.460  0.250
O  0.509  0.250  0.500
O  0.473  0.458  0.250
Br  0.519  0.925  0.937
O  0.479  0.589  0.250
O  0.486  0.282  0.664
O  0.005  0.713  0.420
O  0.521  0.411  0.750
Mo  0.933  0.750  0.000

Values from the calculation:
Spin magnetization: 12.0 μB per cell
Energy relative to the elements: -1.71 eV per atom

=====

A relaxed Li3Fe2P2O10 crystal. Source: Materials Project, functional GGA+U.

a b c (Å): 6.441 6.441 8.691
angles (deg): 90.00 90.00 90.71
Positions (direct):
O  0.753  0.055  0.852
P  0.753  0.253  0.750
O  0.555  0.253  0.648
Li  0.000  0.500  0.000
Li  0.500  0.000  0.000
O  0.274  0.274  0.404
P  0.247  0.747  0.250
O  0.445  0.759  0.857
Fe  0.257  0.257  0.203
O  0.247  0.945  0.148
O  0.253  0.555  0.648
O  0.259  0.945  0.643
Li  0.000  0.000  0.000
O  0.055  0.741  0.357
O  0.759  0.445  0.857
Fe  0.243  0.243  0.703
O  0.555  0.241  0.143
O  0.774  0.774  0.096
P  0.747  0.247  0.250
Li  0.000  0.500  0.500
O  0.945  0.259  0.643
Li  0.500  0.500  0.500
O  0.241  0.555  0.143
O  0.726  0.726  0.596
O  0.055  0.753  0.852
P  0.253  0.753  0.750
O  0.445  0.747  0.352
Fe  0.743  0.743  0.797
Fe  0.757  0.757  0.297
Li  0.500  0.000  0.500
O  0.747  0.445  0.352
O  0.741  0.055  0.357
O  0.226  0.226  0.904
O  0.945  0.247  0.148

Values from the calculation:
Spin magnetization: 18.0 μB per cell
Energy relative to the elements: -2.27 eV per atom

=====

A relaxed La3FeO6 crystal. Source: Materials Project, functional GGA+U.

a b c (Å): 7.587 7.587 5.737
angles (deg): 90.00 90.00 103.02
Positions (direct):
O  0.544  0.456  0.869
La  0.199  0.413  0.036
La  0.587  0.801  0.036
O  0.714  0.286  0.331
O  0.852  0.829  0.801
La  0.801  0.587  0.536
Fe  0.692  0.308  0.000
O  0.086  0.608  0.332
O  0.829  0.852  0.301
La  0.413  0.199  0.536
La  0.105  0.895  0.073
O  0.286  0.714  0.831
O  0.171  0.148  0.801
O  0.148  0.171  0.301
La  0.895  0.105  0.573
Fe  0.308  0.692  0.500
O  0.914  0.392  0.832
O  0.456  0.544  0.369
O  0.392  0.914  0.332
O  0.608  0.086  0.832

Values from the calculation:
Energy relative to the elements: -3.36 eV per atom

=====

A relaxed LiV4O10 crystal. Source: Materials Project, functional GGA+U.

a b c (Å): 6.652 6.536 5.766
angles (deg): 91.41 97.88 77.28
Positions (direct):
V  0.798  0.291  0.438
O  0.381  0.885  0.521
O  0.294  0.457  0.449
O  0.217  0.677  0.846
O  0.619  0.115  0.479
Li  0.500  0.500  0.000
O  0.057  0.198  0.565
O  0.706  0.543  0.551
V  0.202  0.709  0.562
V  0.657  0.810  0.406
O  0.943  0.802  0.435
O  0.592  0.768  0.129
V  0.343  0.190  0.594
O  0.408  0.232  0.871
O  0.783  0.323  0.154

Values from the calculation:
Spin magnetization: 1.0 μB per cell
Energy relative to the elements: -2.31 eV per atom
Excess energy over the best structure of this formula in the dataset: 40 meV/atom